The following is a DFT calculation (PBE) of an optimized crystal structure of Mg14TiSnO16.

```
data_Mg14TiSnO16
_chemical_formula_sum 'Mg14 Ti1 Sn1 O16'
_cell_length_a 8.720
_cell_length_b 8.720
_cell_length_c 4.355
_cell_angle_alpha 90.00
_cell_angle_beta 90.00
_cell_angle_gamma 90.00
_symmetry_space_group_name_H-M 'P 4/m m m'
_symmetry_Int_Tables_number 123
_symmetry_space_group_name_Hall '-P 4 2'
loop_
_atom_site_label
_atom_site_type_symbol
_atom_site_fract_x
_atom_site_fract_y
_atom_site_fract_z
Mg1 Mg 0.000 0.251 0.000
Mg2 Mg 0.000 0.500 0.500
Mg3 Mg 0.240 0.500 0.000
Mg4 Mg 0.246 0.246 0.500
Ti1 Ti 0.000 0.000 0.500
Sn1 Sn 0.500 0.500 0.500
O1 O 0.000 0.000 0.000
O2 O 0.000 0.253 0.500
O3 O 0.000 0.500 0.000
O4 O 0.228 0.500 0.500
O5 O 0.250 0.250 0.000
O6 O 0.500 0.500 0.000
```

## Properties
Relative energy among the computed polymorphs: 0 meV/atom
Energy of formation: -2.795 eV/atom
V: 331.15 Å³/cell